VASP calculation (GGA-PBE) on a relaxed UVB4 crystal.

a b c (Å): 5.9121 11.4393 3.5485
angles (deg): 90.00 90.00 90.00
Closest atoms and distances in Å follow each position.
Space group Pbam (No. 55)
One atom of each set of equivalent atoms:
1 U 0.1250 0.1511 0.0000 (multiplicity 4)  14 B 2.63-2.75
2 V 0.1276 0.4154 0.0000 (multiplicity 4)  10 B 2.32-2.35, 1 V 2.45
3 B 0.0278 0.6926 0.5000 (multiplicity 4)  3 B 1.75-1.85
4 B 0.1151 0.5468 0.5000 (multiplicity 4)  3 B 1.73-1.75
5 B 0.1339 0.9669 0.5000 (multiplicity 4)  3 B 1.74-1.82
6 B 0.2154 0.8132 0.5000 (multiplicity 4)  3 B 1.77-1.85

## Properties
Its formation energy is -0.65 eV/atom.